This record from the Materials Project database describes crystalline SrPrDyFeO6 at its relaxed geometry. The functional is PBE with a Hubbard U.

Density, g/cm3: 6.57
Uncorrected energy, Ry/atom: -0.5247
Formation enthalpy at 0 K, eV/atom: -2.85
SG: No. 216

a b c (Å): 5.7886 5.7886 5.7886
angles (deg): 60.00 60.00 60.00
Closest atoms and distances in Å follow each position.
Atoms (fractional coordinates):
Sr (0.2500, 0.2500, 0.2500)  12 O 2.90
Pr (0.7500, 0.7500, 0.7500)  12 O 2.90
Dy (0.0000, 0.0000, 0.0000)  6 O 2.16
Fe (0.5000, 0.5000, 0.5000)  6 O 1.93
O (0.7360, 0.2640, 0.2640)  1 Fe 1.93, 1 Dy 2.16
O (0.2640, 0.7360, 0.7360)  1 Fe 1.93, 1 Dy 2.16
O (0.7360, 0.2640, 0.7360)  1 Fe 1.93, 1 Dy 2.16
O (0.2640, 0.7360, 0.2640)  1 Fe 1.93, 1 Dy 2.16
O (0.7360, 0.7360, 0.2640)  1 Fe 1.93, 1 Dy 2.16
O (0.2640, 0.2640, 0.7360)  1 Fe 1.93, 1 Dy 2.16

This record from the Materials Project database describes crystalline AlMoO3 at its relaxed geometry. The functional is PBE with a Hubbard U.

Density, g/cm3: 5.31
Uncorrected energy, Ry/atom: -0.5140
Formation enthalpy at 0 K, eV/atom: -2.16
SG: No. 185

a b c (Å): 5.5470 5.5470 12.0410
angles (deg): 90.00 90.00 120.00
Closest atoms and distances in Å follow each position.
Atoms (fractional coordinates):
Al (0.6667, 0.3333, 0.2605)  3 O 1.89
Al (0.3333, 0.6667, 0.7605)  3 O 1.89
Al (0.6667, 0.3333, 0.7605)  3 O 1.89
Al (0.3333, 0.6667, 0.2605)  3 O 1.89
Al (0.0000, 0.0000, 0.7380)  4 O 1.82-1.91
Al (0.0000, 0.0000, 0.2380)  4 O 1.82-1.91
Mo (0.7011, 0.0000, 0.4990)  5 O 2.00-2.19
Mo (0.7011, 0.7011, 0.9990)  5 O 2.00-2.19
Mo (0.0000, 0.2989, 0.9990)  5 O 2.00-2.19
Mo (0.0000, 0.7011, 0.4990)  5 O 2.00-2.19
Mo (0.2989, 0.2989, 0.4990)  5 O 2.00-2.19
Mo (0.2989, 0.0000, 0.9990)  5 O 2.00-2.19
O (0.6667, 0.3333, 0.0346)  3 Mo 2.00
O (0.3333, 0.6667, 0.5346)  3 Mo 2.00
O (0.6667, 0.3333, 0.5346)  3 Mo 2.00
O (0.3333, 0.6667, 0.0346)  3 Mo 2.00
O (0.0000, 0.0000, 0.8969)  1 Al 1.91, 3 Mo 2.06
O (0.0000, 0.0000, 0.3969)  1 Al 1.91, 3 Mo 2.06
O (0.4266, 0.0000, 0.8366)  2 Al 1.89, 1 Mo 2.08
O (0.4266, 0.4266, 0.3366)  2 Al 1.89, 1 Mo 2.08
O (0.0000, 0.5734, 0.3366)  2 Al 1.89, 1 Mo 2.08
O (0.0000, 0.4266, 0.8366)  2 Al 1.89, 1 Mo 2.08
O (0.5734, 0.5734, 0.8366)  2 Al 1.89, 1 Mo 2.08
O (0.5734, 0.0000, 0.3366)  2 Al 1.89, 1 Mo 2.08
O (0.3041, 0.0000, 0.1810)  1 Al 1.82
O (0.3041, 0.3041, 0.6810)  1 Al 1.82
O (0.0000, 0.6959, 0.6810)  1 Al 1.82
O (0.0000, 0.3041, 0.1810)  1 Al 1.82
O (0.6959, 0.6959, 0.1810)  1 Al 1.82
O (0.6959, 0.0000, 0.6810)  1 Al 1.82